## one
MgNi2O4 (PBE with a Hubbard U, relaxed); calculated volume = 129 Å³ per cell
1.0
1.453 -4.761 0.000
1.453 4.761 0.000
0.000 0.000 9.345
Mg Ni O
2 4 8
Cartesian
1.453 3.736 7.009 Mg
1.453 -3.736 2.336 Mg
1.453 1.282 5.325 Ni
1.453 1.282 8.693 Ni
1.453 -1.282 0.652 Ni
1.453 -1.282 4.020 Ni
0.000 0.000 0.000 O
0.000 0.000 4.672 O
1.453 2.136 1.064 O
1.453 2.136 3.608 O
1.453 0.402 7.009 O
1.453 -0.402 2.336 O
1.453 -2.136 5.737 O
1.453 -2.136 8.280 O

## two
MgNi2O4 (PBE with a Hubbard U, relaxed); calculated volume = 143 Å³ per cell
1.0
2.938 1.696 4.788
-2.938 1.696 4.788
0.000 -3.392 4.788
Mg Ni O
2 4 8
Cartesian
0.000 0.000 0.000 Mg
0.000 0.000 5.507 Mg
0.000 -1.654 2.397 Ni
-1.432 0.827 2.397 Ni
1.432 0.827 2.397 Ni
0.000 0.000 8.879 Ni
-1.563 -0.902 8.226 O
0.000 -1.866 6.137 O
-1.616 0.933 6.137 O
0.000 0.000 3.567 O
0.000 0.000 10.703 O
1.563 -0.902 8.226 O
0.000 1.805 8.226 O
1.616 0.933 6.137 O

## three
MgNi2O4 (PBE with a Hubbard U, relaxed); calculated volume = 142 Å³ per cell
1.0
5.824 0.000 0.000
-2.817 5.104 0.000
-2.822 -1.775 4.783
Mg Ni O
2 4 8
Cartesian
0.043 1.690 0.595 Mg
0.142 1.640 4.188 Mg
-1.411 -0.887 2.392 Ni
-2.820 1.665 2.392 Ni
2.912 0.000 0.000 Ni
1.501 -0.887 2.392 Ni
-2.717 0.070 3.411 O
-3.992 2.503 3.641 O
0.031 -0.161 3.378 O
1.568 0.597 1.217 O
-1.383 2.732 3.567 O
0.154 3.490 1.405 O
4.177 0.826 1.142 O
2.902 3.259 1.373 O

## four
MgNi2O4 (PBE with a Hubbard U, relaxed); calculated volume = 433 Å³ per cell
1.0
5.889 0.000 0.000
-2.944 5.100 0.000
0.000 0.000 14.430
Mg Ni O
6 12 24
Cartesian
0.000 0.000 0.000 Mg
0.000 0.000 3.448 Mg
0.000 3.400 8.313 Mg
2.944 1.700 4.106 Mg
2.944 1.700 9.512 Mg
2.944 1.700 13.081 Mg
0.000 0.000 8.948 Ni
0.000 1.703 11.341 Ni
-1.470 4.249 11.341 Ni
1.451 0.838 6.529 Ni
0.000 3.400 4.775 Ni
0.000 3.400 13.755 Ni
2.944 0.014 1.723 Ni
1.484 2.543 1.723 Ni
1.470 4.249 11.341 Ni
4.438 0.838 6.529 Ni
2.944 3.424 6.529 Ni
4.405 2.543 1.723 Ni
0.000 0.000 5.465 O
0.000 0.000 12.415 O
-1.354 2.618 12.434 O
0.000 1.533 7.715 O
-1.617 4.333 7.715 O
0.000 1.882 0.680 O
-1.315 4.159 0.680 O
1.301 0.751 10.180 O
0.000 3.400 2.915 O
0.000 3.400 10.297 O
1.605 0.927 2.752 O
1.354 2.618 12.434 O
0.000 4.963 12.434 O
2.944 0.059 5.395 O
1.523 2.520 5.395 O
1.315 4.159 0.680 O
2.944 1.700 0.601 O
2.944 1.700 7.527 O
1.617 4.333 7.715 O
4.283 0.927 2.752 O
2.944 3.246 2.752 O
4.587 0.751 10.180 O
2.944 3.597 10.180 O
4.366 2.520 5.395 O

Result of the stability comparison: three is the most stable of them.